Compound: Na2Ga4SiS5O24
Source: Materials Project
Functional: PBE
Structure: relaxed

a = 8.525 Å, b = 8.535 Å, c = 22.231 Å
α = 89.53°, β = 89.10°, γ = 60.30°
Space group P1 (No. 1)
Symmetry-distinct sites (fractional):
Na: 0.000 0.000 0.000
Na: 0.000 0.010 0.506
Na: 0.346 0.319 0.838
Na: 0.348 0.337 0.343
Na: 0.665 0.674 0.676
Na: 0.674 0.668 0.172
Ga: 0.003 0.005 0.857
Ga: 0.007 0.000 0.154
Ga: 0.016 0.000 0.660
Ga: 0.339 0.324 0.695
Ga: 0.340 0.336 0.189
Ga: 0.346 0.325 0.981
Ga: 0.352 0.335 0.488
Ga: 0.655 0.696 0.819
Ga: 0.671 0.663 0.327
Ga: 0.677 0.655 0.524
Ga: 0.677 0.675 0.015
Ga: 0.999 0.011 0.362
Si: 0.295 0.000 0.757
Si: 0.672 0.377 0.423
Si: 0.681 0.960 0.922
S: 0.008 0.293 0.255
S: 0.008 0.709 0.755
S: 0.051 0.336 0.588
S: 0.051 0.623 0.090
S: 0.296 0.713 0.256
S: 0.337 0.626 0.590
S: 0.340 0.043 0.090
S: 0.384 0.668 0.924
S: 0.384 0.958 0.423
S: 0.633 0.337 0.090
S: 0.635 0.040 0.589
S: 0.715 0.000 0.256
S: 0.715 0.295 0.756
S: 0.962 0.380 0.923
S: 0.964 0.667 0.422
O: 0.028 0.176 0.593
O: 0.034 0.807 0.097
O: 0.038 0.787 0.809
O: 0.042 0.179 0.309
O: 0.131 0.515 0.146
O: 0.132 0.367 0.642
O: 0.140 0.372 0.930
O: 0.141 0.502 0.429
O: 0.164 0.305 0.533
O: 0.166 0.542 0.036
O: 0.170 0.037 0.816
O: 0.172 0.027 0.098
O: 0.172 0.806 0.595
O: 0.175 0.310 0.248
O: 0.176 0.533 0.747
O: 0.182 0.794 0.310
O: 0.207 0.830 0.919
O: 0.207 0.967 0.415
O: 0.215 0.823 0.201
O: 0.218 0.963 0.695
O: 0.306 0.158 0.037
O: 0.308 0.547 0.535
O: 0.314 0.530 0.249
O: 0.316 0.180 0.751
O: 0.357 0.142 0.429
O: 0.360 0.507 0.931
O: 0.369 0.511 0.644
O: 0.371 0.123 0.146
O: 0.462 0.695 0.980
O: 0.464 0.849 0.477
O: 0.476 0.698 0.260
O: 0.492 0.356 0.429
O: 0.493 0.819 0.759
O: 0.496 0.887 0.367
O: 0.498 0.157 0.929
O: 0.499 0.627 0.870
O: 0.499 0.861 0.085
O: 0.500 0.648 0.584
O: 0.522 0.120 0.643
O: 0.522 0.368 0.146
O: 0.531 0.319 0.748
O: 0.533 0.164 0.249
O: 0.551 0.304 0.037
O: 0.558 0.150 0.534
O: 0.632 0.496 0.361
O: 0.640 0.872 0.865
O: 0.652 0.499 0.083
O: 0.652 0.858 0.581
O: 0.696 0.836 0.263
O: 0.706 0.471 0.763
O: 0.713 0.462 0.482
O: 0.718 0.845 0.986
O: 0.788 0.181 0.809
O: 0.795 0.032 0.309
O: 0.814 0.171 0.097
O: 0.817 0.022 0.596
O: 0.823 0.216 0.699
O: 0.827 0.968 0.200
O: 0.848 0.475 0.261
O: 0.849 0.708 0.477
O: 0.852 0.178 0.416
O: 0.852 0.453 0.980
O: 0.852 0.680 0.761
O: 0.859 0.981 0.915
O: 0.871 0.503 0.584
O: 0.871 0.639 0.086
O: 0.881 0.489 0.869
O: 0.886 0.639 0.367
O: 0.968 0.823 0.700
O: 0.976 0.212 0.200
O: 0.985 0.198 0.919
O: 0.990 0.826 0.415

- crystal system = triclinic
- final energy (eV/atom) = -6.062
- energy relative to the elements (eV/atom) = -2.09
- M_tot (μB per atom) = 0.000

=====

Compound: Na2Ga2SiS2O12
Source: Materials Project
Functional: PBE
Structure: relaxed

a = 15.103 Å, b = 8.700 Å, c = 22.083 Å
α = 90.00°, β = 90.45°, γ = 90.00°
Space group Cc (No. 9)
Symmetry-distinct sites (fractional):
Na: 0.000 0.001 0.000
Na: 0.163 0.185 0.091
Na: 0.173 0.496 0.666
Na: 0.322 0.313 0.249
Na: 0.334 0.012 0.334
Na: 0.358 0.327 0.922
Ga: 0.004 0.003 0.649
Ga: 0.013 0.012 0.850
Ga: 0.175 0.465 0.315
Ga: 0.196 0.498 0.516
Ga: 0.331 0.006 0.184
Ga: 0.348 0.004 0.482
Si: 0.150 0.138 0.247
Si: 0.329 0.344 0.413
Si: 0.347 0.293 0.082
S: 0.013 0.299 0.750
S: 0.034 0.358 0.418
S: 0.174 0.215 0.916
S: 0.197 0.151 0.581
S: 0.361 0.346 0.749
S: 0.488 0.142 0.584
O: 0.001 0.188 0.086
O: 0.025 0.189 0.414
O: 0.026 0.205 0.694
O: 0.071 0.425 0.362
O: 0.076 0.432 0.079
O: 0.087 0.397 0.472
O: 0.095 0.107 0.184
O: 0.095 0.388 0.759
O: 0.096 0.113 0.912
O: 0.103 0.068 0.307
O: 0.110 0.073 0.586
O: 0.161 0.302 0.974
O: 0.163 0.328 0.250
O: 0.183 0.319 0.575
O: 0.184 0.319 0.863
O: 0.240 0.079 0.528
O: 0.251 0.133 0.637
O: 0.252 0.068 0.246
O: 0.253 0.394 0.078
O: 0.256 0.121 0.919
O: 0.270 0.409 0.754
O: 0.272 0.370 0.350
O: 0.289 0.442 0.469
O: 0.325 0.188 0.142
O: 0.336 0.160 0.424
O: 0.358 0.191 0.019
O: 0.359 0.178 0.739
O: 0.401 0.430 0.697
O: 0.411 0.370 0.806
O: 0.426 0.435 0.405
O: 0.434 0.098 0.243
O: 0.434 0.119 0.528
O: 0.434 0.403 0.090
O: 0.442 0.077 0.920
O: 0.443 0.082 0.638
O: 0.489 0.298 0.303

- crystal system = monoclinic
- final energy (eV/atom) = -6.092
- energy relative to the elements (eV/atom) = -2.22
- M_tot (μB per atom) = 0.000